No. 1
Ce2ZnNi2: optimized geometry, meta-GGA r2SCAN.

Output
size of the total moment	1.80	μB/f.u.
VASP energy	-96.2	eV per cell
ΔE_f	-0.319	eV per atom

Unit cell a=4.380 b=5.260 c=5.260 alpha=62.17 beta=65.39 gamma=65.39
Element x y z (fractional)
Ce (0.802, 0.698, 0.698)
Ce (0.198, 0.302, 0.302)
Zn (0.000, 0.000, 0.000)
Ni (0.500, 0.742, 0.258)
Ni (0.500, 0.258, 0.742)

---

No. 2
CeZn2Ni3: optimized geometry, meta-GGA r2SCAN.

Output
size of the total moment	0.77	μB/f.u.
VASP energy	-86.4	eV per cell
ΔE_f	-0.304	eV per atom

Unit cell a=5.149 b=5.149 c=3.869 alpha=90.00 beta=90.00 gamma=120.00
Element x y z (fractional)
Ce (0.000, 0.000, 0.000)
Zn (0.667, 0.333, 0.000)
Zn (0.333, 0.667, 0.000)
Ni (0.500, 0.500, 0.500)
Ni (0.500, 0.000, 0.500)
Ni (0.000, 0.500, 0.500)

---

No. 3
CeO: optimized geometry, meta-GGA r2SCAN.

Output
size of the total moment	0.02	μB/f.u.
VASP energy	-43.0	eV per cell
ΔE_f	-3.090	eV per atom

Unit cell a=3.512 b=3.512 c=3.512 alpha=60.00 beta=60.00 gamma=60.00
Element x y z (fractional)
Ce (0.000, 0.000, 0.000)
O (0.500, 0.500, 0.500)

---

No. 4
Ce7O12: optimized geometry, meta-GGA r2SCAN.

Output
size of the total moment	4.00	μB/f.u.
VASP energy	-359.6	eV per cell
ΔE_f	-3.794	eV per atom

Unit cell a=6.770 b=6.770 c=6.770 alpha=99.59 beta=99.59 gamma=99.59
Element x y z (fractional)
Ce (0.700, 0.862, 0.399)
Ce (0.862, 0.399, 0.700)
Ce (0.399, 0.700, 0.862)
Ce (0.300, 0.138, 0.601)
Ce (0.138, 0.601, 0.300)
Ce (0.601, 0.300, 0.138)
Ce (0.000, 0.000, 0.000)
O (0.931, 0.069, 0.680)
O (0.069, 0.680, 0.931)
O (0.680, 0.931, 0.069)
O (0.069, 0.931, 0.320)
O (0.931, 0.320, 0.069)
O (0.320, 0.069, 0.931)
O (0.823, 0.567, 0.417)
O (0.583, 0.177, 0.433)
O (0.433, 0.583, 0.177)
O (0.177, 0.433, 0.583)
O (0.417, 0.823, 0.567)
O (0.567, 0.417, 0.823)

---

No. 5
Ce11O20: optimized geometry, meta-GGA r2SCAN.

Output
size of the total moment	4.00	μB/f.u.
VASP energy	-576.1	eV per cell
ΔE_f	-3.788	eV per atom

Unit cell a=6.729 b=6.749 c=10.247 alpha=96.17 beta=90.12 gamma=99.71
Element x y z (fractional)
Ce (0.000, 0.000, 0.000)
Ce (0.178, 0.100, 0.364)
Ce (0.822, 0.900, 0.636)
Ce (0.117, 0.553, 0.173)
Ce (0.883, 0.447, 0.827)
Ce (0.273, 0.640, 0.526)
Ce (0.727, 0.360, 0.474)
Ce (0.359, 0.146, 0.724)
Ce (0.641, 0.854, 0.276)
Ce (0.472, 0.736, 0.918)
Ce (0.529, 0.264, 0.082)
O (0.138, 0.656, 0.960)
O (0.862, 0.344, 0.040)
O (0.036, 0.161, 0.799)
O (0.964, 0.839, 0.201)
O (0.045, 0.430, 0.370)
O (0.955, 0.570, 0.630)
O (0.154, 0.944, 0.565)
O (0.846, 0.056, 0.435)
O (0.343, 0.036, 0.930)
O (0.657, 0.964, 0.070)
O (0.200, 0.223, 0.153)
O (0.800, 0.777, 0.847)
O (0.310, 0.797, 0.335)
O (0.690, 0.203, 0.665)
O (0.364, 0.330, 0.542)
O (0.636, 0.670, 0.458)
O (0.460, 0.820, 0.702)
O (0.540, 0.180, 0.298)
O (0.467, 0.589, 0.127)
O (0.533, 0.411, 0.873)

---

No. 6
Ce5O9: optimized geometry, meta-GGA r2SCAN.

Output
size of the total moment	2.00	μB/f.u.
VASP energy	-260.8	eV per cell
distance to the lowest polymorph of the same formula	16	meV/atom
ΔE_f	-3.774	eV per atom

Unit cell a=6.728 b=5.558 c=6.718 alpha=114.43 beta=99.77 gamma=65.61
Element x y z (fractional)
Ce (0.999, 0.988, 0.022)
Ce (0.422, 0.214, 0.801)
Ce (0.201, 0.564, 0.378)
Ce (0.778, 0.434, 0.599)
Ce (0.600, 0.799, 0.200)
O (0.100, 0.551, 0.700)
O (0.321, 0.634, 0.100)
O (0.700, 0.866, 0.922)
O (0.500, 0.244, 0.477)
O (0.271, 0.145, 0.061)
O (0.738, 0.317, 0.873)
O (0.462, 0.782, 0.527)
O (0.878, 0.456, 0.300)
O (0.929, 0.955, 0.339)

---

No. 7
Ce5O9: optimized geometry, meta-GGA r2SCAN.

Output
size of the total moment	2.00	μB/f.u.
VASP energy	-522.0	eV per cell
distance to the lowest polymorph of the same formula	0	meV/atom
ΔE_f	-3.789	eV per atom

Unit cell a=6.742 b=7.778 c=8.694 alpha=76.98 beta=74.69 gamma=73.30
Element x y z (fractional)
Ce (0.896, 0.855, 0.701)
Ce (0.871, 0.359, 0.689)
Ce (0.129, 0.641, 0.311)
Ce (0.296, 0.934, 0.916)
Ce (0.104, 0.145, 0.299)
Ce (0.522, 0.245, 0.480)
Ce (0.290, 0.463, 0.913)
Ce (0.710, 0.537, 0.087)
Ce (0.478, 0.755, 0.520)
Ce (0.704, 0.066, 0.084)
O (0.032, 0.477, 0.164)
O (0.028, 0.924, 0.161)
O (0.972, 0.076, 0.839)
O (0.173, 0.341, 0.468)
O (0.487, 0.567, 0.340)
O (0.968, 0.523, 0.836)
O (0.360, 0.646, 0.054)
O (0.239, 0.751, 0.764)
O (0.149, 0.847, 0.460)
O (0.675, 0.840, 0.967)
O (0.522, 0.975, 0.666)
O (0.478, 0.025, 0.334)
O (0.325, 0.160, 0.033)
O (0.851, 0.153, 0.540)
O (0.640, 0.354, 0.946)
O (0.513, 0.433, 0.660)
O (0.827, 0.659, 0.532)
O (0.761, 0.249, 0.236)

---

No. 8
CeP3O9: optimized geometry, meta-GGA r2SCAN.

Output
size of the total moment	1.00	μB/f.u.
VASP energy	-294.4	eV per cell
ΔE_f	-2.740	eV per atom

Unit cell a=7.083 b=7.083 c=7.339 alpha=90.00 beta=90.00 gamma=104.78
Element x y z (fractional)
Ce (0.370, 0.370, 0.000)
Ce (0.630, 0.630, 0.500)
P (0.833, 0.183, 0.047)
P (0.167, 0.817, 0.547)
P (0.183, 0.833, 0.953)
P (0.817, 0.167, 0.453)
P (0.752, 0.752, 0.000)
P (0.248, 0.248, 0.500)
O (0.753, 0.970, 0.959)
O (0.247, 0.030, 0.459)
O (0.970, 0.753, 0.041)
O (0.030, 0.247, 0.541)
O (0.677, 0.637, 0.832)
O (0.323, 0.363, 0.332)
O (0.637, 0.676, 0.168)
O (0.363, 0.324, 0.668)
O (0.718, 0.327, 0.461)
O (0.282, 0.673, 0.961)
O (0.327, 0.718, 0.539)
O (0.673, 0.282, 0.039)
O (0.722, 0.977, 0.537)
O (0.278, 0.023, 0.037)
O (0.977, 0.722, 0.463)
O (0.023, 0.278, 0.963)
O (0.874, 0.126, 0.250)
O (0.126, 0.874, 0.750)

---

Please write out number 7 again, unchanged.
Ce5O9: optimized geometry, meta-GGA r2SCAN.

Output
size of the total moment	2.00	μB/f.u.
VASP energy	-522.0	eV per cell
distance to the lowest polymorph of the same formula	0	meV/atom
ΔE_f	-3.789	eV per atom

Unit cell a=6.742 b=7.778 c=8.694 alpha=76.98 beta=74.69 gamma=73.30
Element x y z (fractional)
Ce (0.896, 0.855, 0.701)
Ce (0.871, 0.359, 0.689)
Ce (0.129, 0.641, 0.311)
Ce (0.296, 0.934, 0.916)
Ce (0.104, 0.145, 0.299)
Ce (0.522, 0.245, 0.480)
Ce (0.290, 0.463, 0.913)
Ce (0.710, 0.537, 0.087)
Ce (0.478, 0.755, 0.520)
Ce (0.704, 0.066, 0.084)
O (0.032, 0.477, 0.164)
O (0.028, 0.924, 0.161)
O (0.972, 0.076, 0.839)
O (0.173, 0.341, 0.468)
O (0.487, 0.567, 0.340)
O (0.968, 0.523, 0.836)
O (0.360, 0.646, 0.054)
O (0.239, 0.751, 0.764)
O (0.149, 0.847, 0.460)
O (0.675, 0.840, 0.967)
O (0.522, 0.975, 0.666)
O (0.478, 0.025, 0.334)
O (0.325, 0.160, 0.033)
O (0.851, 0.153, 0.540)
O (0.640, 0.354, 0.946)
O (0.513, 0.433, 0.660)
O (0.827, 0.659, 0.532)
O (0.761, 0.249, 0.236)

---

Q: What is the ΔE_f in the fifth record?
A: -3.788 eV per atom

---

Q: The lowest size of the total moment belongs to which entry?
A: CeO